KLaNi4O12 | PBE with a Hubbard U | optimized geometry

## Properties
Total energy after the MP2020 corrections (eV per cell): -103.4
Calculated formation energy (eV per formula unit): -14.873
Energy (eV/cell): -85.0
Mass density (g/cm³): 4.3

Cell and atoms, written as extended XYZ:
```
18
Lattice="7.722 0.000 0.000 0.000 3.889 3.860 0.000 -3.889 3.860" Properties=species:S:1:pos:R:3 pbc="T T T"
K 0.000 0.000 0.000
La 3.861 0.000 3.899
Ni 1.903 -1.940 1.940
Ni 1.903 1.940 1.940
Ni 5.819 -1.940 1.940
Ni 5.819 1.940 1.940
O 0.000 -1.907 1.946
O 0.000 1.907 1.946
O 1.995 0.000 5.730
O 2.036 -1.789 3.867
O 2.036 1.789 3.867
O 2.098 0.000 2.006
O 3.861 -1.872 5.775
O 3.861 1.872 5.775
O 5.623 0.000 2.006
O 5.685 -1.789 3.867
O 5.685 1.789 3.867
O 5.726 0.000 5.730
```



ScFe2BO5 | PBE with a Hubbard U | optimized geometry

## Properties
Total energy after the MP2020 corrections (eV per cell): -311.9
Calculated formation energy (eV per formula unit): -23.273
Energy (eV/cell): -280.1
Mass density (g/cm³): 4.2

Cell and atoms, written as extended XYZ:
```
36
Lattice="9.655 0.000 0.000 0.000 12.716 0.000 0.000 0.000 3.178" Properties=species:S:1:pos:R:3 pbc="T T T"
Sc 2.354 1.462 0.000
Sc 2.473 7.820 0.000
Sc 7.182 4.896 0.000
Sc 7.301 11.254 0.000
Fe 0.000 0.000 1.589
Fe 0.000 6.358 0.000
Fe 0.052 3.564 1.589
Fe 4.775 9.922 1.589
Fe 4.827 0.000 0.000
Fe 4.827 6.358 1.589
Fe 4.880 2.794 1.589
Fe 9.602 9.152 1.589
B 2.162 10.957 0.000
B 2.665 4.599 0.000
B 6.990 8.117 0.000
B 7.492 1.759 0.000
O 1.071 1.782 1.589
O 1.089 7.355 1.589
O 1.265 4.563 0.000
O 1.451 9.750 0.000
O 1.483 12.166 0.000
O 3.344 5.808 0.000
O 3.376 3.392 0.000
O 3.562 10.921 0.000
O 3.738 0.997 1.589
O 3.757 8.140 1.589
O 5.898 4.576 1.589
O 5.917 11.718 1.589
O 6.092 1.794 0.000
O 6.279 9.324 0.000
O 6.311 6.908 0.000
O 8.171 0.550 0.000
O 8.203 2.966 0.000
O 8.390 8.152 0.000
O 8.565 5.360 1.589
O 8.584 10.933 1.589
```



LiMg4V3O12 | PBE with a Hubbard U | optimized geometry

## Properties
Largest piezoelectric modulus (C/m²): 0.07
Total energy after the MP2020 corrections (eV per cell): -298.8
Calculated formation energy (eV per formula unit): -54.478
Energy (eV/cell): -272.1
Mass density (g/cm³): 3.2

Cell and atoms, written as extended XYZ:
```
40
Lattice="-3.479 3.479 9.584 3.479 -3.479 9.584 3.479 3.479 -9.584" Properties=species:S:1:pos:R:3 pbc="T T T"
Li 0.000 0.000 0.000
Li 0.000 3.479 4.792
Mg 3.479 0.000 0.474
Mg 1.740 -1.686 7.188
Mg 0.000 0.000 5.267
Mg 1.793 1.740 2.396
Mg 3.479 0.000 9.110
Mg 1.740 5.165 -2.396
Mg 0.000 0.000 13.902
Mg 1.686 1.740 11.980
V 1.740 1.042 -2.396
V 3.479 0.000 4.792
V 2.437 -1.740 11.980
V 0.000 0.000 9.584
V 1.740 2.437 7.188
V 1.042 5.219 2.396
O 1.894 -0.285 1.939
O 3.194 1.894 -2.853
O 5.064 0.285 1.939
O 3.764 -1.585 7.645
O 2.014 -0.371 5.664
O 3.108 2.014 0.872
O 0.077 2.008 1.069
O 1.465 3.850 -3.920
O 1.465 -0.371 8.712
O 0.077 1.471 3.723
O 3.108 1.465 3.920
O 2.014 3.850 -0.872
O 0.285 1.585 6.731
O 1.585 -0.285 12.437
O 3.194 1.585 7.645
O 1.894 3.764 2.853
O 0.371 1.465 10.457
O -0.077 4.950 1.069
O -2.008 3.402 5.861
O 2.008 3.556 5.861
O -1.471 3.402 8.515
O 1.471 3.556 8.515
O -0.077 5.487 3.723
O 0.371 2.014 13.504
```



Li2Cr3NiS6O24 | PBE with a Hubbard U | optimized geometry

## Properties
Total energy after the MP2020 corrections (eV per cell): -254.1
Calculated formation energy (eV per formula unit): -71.954
Energy (eV/cell): -229.1
Mass density (g/cm³): 2.9

Cell and atoms, written as extended XYZ:
```
36
Lattice="8.325 0.000 0.000 -4.150 7.279 0.000 -4.034 -2.480 7.573" Properties=species:S:1:pos:R:3 pbc="T T T"
Li 0.000 0.000 0.000
Li -0.718 4.813 0.022
Cr 2.464 -0.191 2.403
Cr -1.614 2.131 6.266
Cr 2.499 4.592 3.380
Ni 2.482 -0.276 6.897
S 0.059 -0.302 4.737
S 1.227 2.569 0.927
S 1.247 6.693 0.979
S -0.405 4.854 4.751
S 4.840 4.588 0.944
S 3.749 1.935 4.756
O -4.165 4.607 2.248
O -4.746 3.411 4.611
O -3.154 1.624 5.076
O -1.151 -1.163 4.571
O -2.288 5.478 1.021
O -0.175 2.968 0.603
O 1.305 1.093 1.004
O 0.748 -0.191 3.437
O -1.866 0.521 7.421
O -0.378 1.081 5.094
O -2.933 3.156 7.459
O -1.351 3.759 5.100
O 0.917 -0.895 5.780
O -0.863 5.487 3.527
O 4.057 0.005 1.110
O 1.623 3.142 2.233
O 3.402 1.245 3.526
O 0.961 4.267 4.600
O 1.669 6.057 2.241
O -0.077 2.773 7.462
O 6.405 0.418 0.580
O 3.855 -1.454 5.898
O 5.200 3.226 0.570
O 2.869 1.524 5.905
```



VPO7 | PBE with a Hubbard U | optimized geometry

## Properties
Total energy after the MP2020 corrections (eV per cell): -249.8
Energy above the lowest structure with this stoichiometry (eV/f.u.): 0.731
Calculated formation energy (eV per formula unit): -13.324
Energy (eV/cell): -223.8
Mass density (g/cm³): 2.3

Cell and atoms, written as extended XYZ:
```
36
Lattice="5.868 0.000 0.000 0.197 7.750 0.000 2.598 -0.010 12.266" Properties=species:S:1:pos:R:3 pbc="T T T"
V 1.054 1.984 4.468
V 3.230 5.867 1.626
V 5.434 1.873 10.640
V 7.609 5.756 7.798
P 1.780 2.654 1.370
P 2.746 6.574 4.772
P 5.917 1.166 7.494
P 6.883 5.086 10.896
O 0.353 2.265 0.936
O 1.981 5.721 5.831
O 2.560 4.303 8.026
O 1.383 6.776 1.395
O 3.070 6.718 8.271
O 2.227 0.308 4.860
O 2.070 2.026 2.783
O 2.340 5.983 3.374
O 2.010 4.157 1.362
O 2.877 2.970 4.754
O 4.179 2.993 10.245
O 4.506 0.499 10.483
O 2.693 1.903 0.353
O 4.436 1.478 7.209
O 4.228 6.262 5.056
O 5.970 5.838 11.913
O 4.157 7.242 1.782
O 4.484 4.747 2.021
O 5.787 4.770 7.512
O 6.653 3.583 10.904
O 6.324 1.757 8.892
O 6.594 5.714 9.483
O 6.437 7.432 7.406
O 5.594 1.022 3.994
O 7.280 0.964 10.871
O 6.104 3.437 4.240
O 6.683 2.020 6.434
O 8.310 5.475 11.330
```



Li3V3B2O10 | PBE with a Hubbard U | optimized geometry

## Properties
Total energy after the MP2020 corrections (eV per cell): -284.4
Energy above the lowest structure with this stoichiometry (eV/f.u.): 0.000
Calculated formation energy (eV per formula unit): -46.403
Energy (eV/cell): -260.5
Mass density (g/cm³): 3.5

Cell and atoms, written as extended XYZ:
```
36
Lattice="2.995 0.000 0.000 0.000 12.100 0.000 -0.213 0.000 9.401" Properties=species:S:1:pos:R:3 pbc="T T T"
Li 2.942 0.000 2.270
Li -0.161 6.050 7.131
Li -0.151 9.514 6.987
Li 1.333 3.587 7.162
Li 1.448 9.637 2.239
Li 2.932 3.464 2.415
V -0.159 0.868 7.055
V 2.940 6.918 2.346
V 1.326 10.852 4.703
V 1.236 8.200 9.226
V 1.545 2.150 0.175
V 1.455 4.802 4.699
B 1.387 1.757 4.515
B 1.491 5.113 0.164
B 1.290 11.163 9.237
B 1.394 7.807 4.886
O -0.056 5.289 3.426
O -0.154 2.508 8.232
O -0.049 10.407 3.601
O -0.143 7.763 8.173
O 1.428 3.949 0.927
O 1.447 11.248 1.158
O 1.359 6.614 5.552
O 1.400 2.960 3.853
O 1.468 6.340 0.966
O 1.361 1.727 5.948
O 1.420 7.777 3.453
O 1.313 0.290 8.436
O 1.381 9.010 5.549
O 1.422 0.564 3.849
O 1.334 5.198 8.243
O 1.353 9.999 8.474
O 2.924 1.713 1.228
O 2.830 4.357 5.800
O 2.935 8.558 1.169
O 2.837 11.339 5.975
```



SrEuNbVO6 | PBE with a Hubbard U | optimized geometry

## Properties
Total energy after the MP2020 corrections (eV per cell): -91.8
Calculated formation energy (eV per formula unit): -30.972
Energy (eV/cell): -86.0
Mass density (g/cm³): 6.2

Cell and atoms, written as extended XYZ:
```
10
Lattice="0.000 4.013 4.013 4.013 0.000 4.013 4.013 4.013 0.000" Properties=species:S:1:pos:R:3 pbc="T T T"
Sr 0.000 0.000 0.000
Eu 4.013 4.013 4.013
Nb 2.007 2.007 2.007
V 6.020 6.020 6.020
O 2.007 2.007 0.002
O 2.007 0.002 2.007
O 4.011 2.007 2.007
O 0.002 2.007 2.007
O 2.007 4.011 2.007
O 2.007 2.007 4.011
```



Sr2Mn2O5 | PBE with a Hubbard U | optimized geometry

## Properties
Total energy after the MP2020 corrections (eV per cell): -138.2
Energy above the lowest structure with this stoichiometry (eV/f.u.): 0.514
Calculated formation energy (eV per formula unit): -22.633
Energy (eV/cell): -124.6
Mass density (g/cm³): 5.0

Cell and atoms, written as extended XYZ:
```
18
Lattice="-3.905 4.193 -3.706 -3.905 -4.193 3.706 -3.905 4.193 3.706" Properties=species:S:1:pos:R:3 pbc="T T T"
O -5.857 4.000 -1.853
O -5.857 -2.096 3.706
O -3.956 2.097 1.853
O -5.857 4.000 1.853
O -7.759 2.097 1.853
O -3.854 -2.097 1.853
O -9.762 2.097 3.706
O -3.956 2.097 -1.853
O -5.857 0.193 1.853
O -9.762 4.386 1.853
Sr -3.905 4.193 0.000
Sr -3.905 0.000 0.000
Sr -7.810 8.386 0.000
Sr -7.810 4.193 0.000
Mn -5.857 2.097 1.853
Mn -1.953 2.097 1.853
Mn -5.857 2.097 -1.853
Mn -5.858 6.289 1.852
```



K2VPCO7 | PBE with a Hubbard U | optimized geometry

## Properties
Total energy after the MP2020 corrections (eV per cell): -357.5
Energy above the lowest structure with this stoichiometry (eV/f.u.): 0.455
Calculated formation energy (eV per formula unit): -28.783
Energy (eV/cell): -331.4
Mass density (g/cm³): 2.5

Cell and atoms, written as extended XYZ:
```
48
Lattice="6.764 0.000 0.000 -0.009 9.785 0.000 -0.084 -0.088 11.259" Properties=species:S:1:pos:R:3 pbc="T T T"
K 0.000 0.000 0.000
K -0.036 9.733 5.638
K 0.223 5.100 8.460
K 0.305 5.106 2.816
K 3.304 5.083 8.411
K 3.376 5.158 2.782
K 3.681 9.748 0.045
K 3.658 9.733 5.683
V 1.812 1.174 2.673
V 1.784 1.146 8.308
V 5.187 3.900 5.776
V 5.242 3.927 0.161
P 1.807 3.175 5.482
P 1.772 3.130 11.124
P 5.192 1.890 2.976
P 5.177 1.853 8.599
C 1.815 8.468 2.926
C 1.774 8.435 8.551
C 5.189 6.387 5.529
C 5.149 6.337 11.165
O 0.531 4.023 5.770
O 0.586 4.071 0.143
O 1.771 9.094 1.764
O 1.770 2.737 3.984
O 1.748 9.064 7.391
O 1.745 2.688 9.621
O 1.773 7.195 8.688
O 1.822 7.228 3.066
O 1.851 1.960 0.788
O 1.821 1.932 6.421
O 1.803 9.293 9.564
O 1.851 9.329 3.937
O 3.129 4.067 0.123
O 3.085 4.034 5.719
O 3.923 1.039 2.691
O 3.900 1.004 8.357
O 5.102 5.476 10.156
O 5.186 2.297 4.486
O 5.165 3.104 7.667
O 5.200 3.154 2.058
O 5.168 5.754 6.690
O 5.144 7.577 11.024
O 5.187 7.627 5.397
O 5.212 5.531 4.513
O 5.216 2.303 10.100
O 5.284 5.799 1.068
O 6.471 1.047 2.693
O 6.444 0.998 8.315
```



MgV4O7F5 | PBE with a Hubbard U | optimized geometry

## Properties
Total energy after the MP2020 corrections (eV per cell): -128.2
Energy above the lowest structure with this stoichiometry (eV/f.u.): 0.239
Calculated formation energy (eV per formula unit): -46.048
Energy (eV/cell): -114.3
Mass density (g/cm³): 3.5

Cell and atoms, written as extended XYZ:
```
17
Lattice="5.127 0.000 0.000 2.398 4.825 0.000 2.231 1.702 8.435" Properties=species:S:1:pos:R:3 pbc="T T T"
Mg 0.000 0.000 0.000
V 2.640 1.090 5.132
V 4.776 2.956 7.036
V 4.745 2.703 1.035
V 7.317 4.045 3.187
O 2.808 2.527 4.171
O 4.287 4.339 6.212
O 3.347 3.612 1.451
O 3.307 1.656 6.701
O 6.321 4.931 4.564
O 6.357 3.432 7.984
O 6.001 3.271 2.413
F 3.755 5.113 3.746
F 1.508 1.414 0.308
F 7.935 5.687 8.349
F 4.594 0.930 1.921
F 5.895 1.959 5.806
```



Li9Co7O16 | PBE with a Hubbard U | optimized geometry

## Properties
Total energy after the MP2020 corrections (eV per cell): -201.3
Energy above the lowest structure with this stoichiometry (eV/f.u.): 1.012
Calculated formation energy (eV per formula unit): -55.158
Energy (eV/cell): -178.8
Mass density (g/cm³): 4.4

Cell and atoms, written as extended XYZ:
```
32
Lattice="5.003 0.000 0.000 -1.733 7.473 0.000 -1.563 -1.421 7.447" Properties=species:S:1:pos:R:3 pbc="T T T"
Li 0.000 0.000 0.000
Li 3.399 0.740 5.636
Li -2.490 5.653 4.743
Li -1.679 5.244 1.964
Li -1.641 3.069 3.809
Li 0.918 -0.352 6.523
Li 0.784 6.367 0.998
Li 0.900 1.905 4.719
Li 0.877 4.166 2.900
Co -0.853 2.636 0.982
Co -2.447 3.477 6.517
Co -0.789 0.330 2.912
Co -0.022 6.712 3.835
Co 1.637 3.728 0.037
Co 1.685 1.500 1.951
Co 0.048 4.550 5.638
O -0.083 4.397 0.824
O 0.039 2.181 2.793
O -0.835 2.792 5.707
O -1.578 5.100 6.554
O 0.804 1.928 0.106
O 0.908 -0.376 2.076
O 0.193 -0.002 4.617
O -0.672 4.990 3.903
O 0.755 6.338 5.546
O 2.502 1.023 3.756
O 1.584 6.127 2.890
O 0.920 4.137 7.350
O 2.523 3.363 1.871
O 3.329 0.905 1.043
O 1.691 3.788 4.914
O 1.759 1.718 6.629
```



CaMo4O8 | PBE with a Hubbard U | optimized geometry

## Properties
Total energy after the MP2020 corrections (eV per cell): -111.4
Energy above the lowest structure with this stoichiometry (eV/f.u.): 0.000
Calculated formation energy (eV per formula unit): -26.455
Energy (eV/cell): -93.1
Mass density (g/cm³): 4.6

Cell and atoms, written as extended XYZ:
```
13
Lattice="3.224 1.861 5.510 -3.224 1.861 5.510 0.000 -3.723 5.510" Properties=species:S:1:pos:R:3 pbc="T T T"
Ca 0.000 0.000 0.000
Mo -3.224 0.000 8.265
Mo -1.612 0.931 2.755
Mo 1.612 0.931 2.755
Mo 0.000 0.000 8.265
O -1.667 -0.962 9.345
O 0.000 0.000 3.686
O 0.000 -1.925 7.185
O -1.667 0.962 7.185
O 1.667 -0.962 9.345
O 0.000 1.925 9.345
O 0.000 0.000 12.843
O 1.667 0.962 7.185
```



> The highest energy belongs to which entry?

KLaNi4O12



> Number 11 is which compound?

Li9Co7O16



> Which value of mass density does entry 9 give?

2.5 g/cm³